Record 1
Sc5Ge3 after structural relaxation, computed with PBE-GGA.

a b c (Å): 7.973 7.973 5.909
angles (deg): 90.00 90.00 120.00
Positions (direct):
Sc 0.000 0.240 0.250
Sc 0.000 0.760 0.750
Sc 0.240 0.000 0.250
Sc 0.240 0.240 0.750
Sc 0.333 0.667 0.000
Sc 0.333 0.667 0.500
Sc 0.667 0.333 0.000
Sc 0.667 0.333 0.500
Sc 0.760 0.000 0.750
Sc 0.760 0.760 0.250
Ge 0.000 0.394 0.750
Ge 0.000 0.606 0.250
Ge 0.394 0.000 0.750
Ge 0.394 0.394 0.250
Ge 0.606 0.000 0.250
Ge 0.606 0.606 0.750

The formation energy is -843 meV/atom. Its total energy is -6.535 eV per atom. The space group is P6_3/mcm, No. 193.



Record 2
ScV5Ge5 after structural relaxation, computed with PBE-GGA.

a b c (Å): 9.478 9.478 7.771
angles (deg): 114.15 114.15 31.13
Positions (direct):
Sc 0.143 0.143 0.031
Sc 0.857 0.857 0.969
V 0.061 0.558 0.310
V 0.065 0.065 0.320
V 0.356 0.356 0.741
V 0.436 0.436 0.195
V 0.442 0.939 0.690
V 0.558 0.061 0.310
V 0.564 0.564 0.805
V 0.644 0.644 0.259
V 0.935 0.935 0.680
V 0.939 0.442 0.690
Ge 0.066 0.066 0.654
Ge 0.214 0.214 0.420
Ge 0.254 0.746 0.000
Ge 0.289 0.289 0.987
Ge 0.432 0.432 0.530
Ge 0.568 0.568 0.470
Ge 0.711 0.711 0.013
Ge 0.746 0.254 0.000
Ge 0.786 0.786 0.580
Ge 0.934 0.934 0.346

The formation energy is -424 meV/atom. As for the magnetization: 0.14 μB/f.u. Its total energy is -7.230 eV per atom. The space group is C2/m, No. 12.